No. 1
{"formula": "Li4V5Fe2O12", "functional": "PBE+U", "state": "optimized geometry", "cell": [[9.006, 0.000, 0.000], [0.000, 5.205, 0.000], [0.000, 1.780, 9.745]], "species": ["Fe", "Fe", "Fe", "Fe", "Li", "Li", "Li", "Li", "Li", "Li", "Li", "Li", "V", "V", "V", "V", "V", "V", "V", "V", "V", "V", "O", "O", "O", "O", "O", "O", "O", "O", "O", "O", "O", "O", "O", "O", "O", "O", "O", "O", "O", "O", "O", "O", "O", "O"], "frac_coords": [[0.244, 0.243, 0.009], [0.744, 0.757, 0.991], [0.753, 0.238, 0.506], [0.253, 0.762, 0.494], [0.084, 0.501, 0.743], [0.919, 0.484, 0.260], [0.584, 0.499, 0.257], [0.082, 0.242, 0.497], [0.916, 0.011, 0.742], [0.416, 0.989, 0.258], [0.419, 0.516, 0.740], [0.582, 0.758, 0.503], [0.919, 0.254, 0.002], [0.928, 0.749, 0.495], [0.073, 0.755, 0.002], [0.249, 0.012, 0.745], [0.744, 0.514, 0.742], [0.244, 0.486, 0.258], [0.749, 0.988, 0.255], [0.428, 0.251, 0.505], [0.573, 0.245, 0.998], [0.419, 0.746, 0.998], [0.270, 0.138, 0.380], [0.415, 0.384, 0.125], [0.406, 0.613, 0.379], [0.576, 0.882, 0.121], [0.746, 0.352, 0.119], [0.752, 0.154, 0.882], [0.595, 0.388, 0.614], [0.252, 0.846, 0.118], [0.095, 0.612, 0.386], [0.075, 0.400, 0.120], [0.907, 0.883, 0.118], [0.770, 0.862, 0.620], [0.246, 0.648, 0.881], [0.598, 0.129, 0.380], [0.098, 0.871, 0.620], [0.262, 0.364, 0.628], [0.076, 0.118, 0.879], [0.403, 0.888, 0.616], [0.915, 0.616, 0.875], [0.903, 0.112, 0.384], [0.762, 0.636, 0.372], [0.906, 0.387, 0.621], [0.575, 0.600, 0.880], [0.407, 0.117, 0.882]], "total_magnetization_mub_per_atom": 0.826, "sg": "P2_1", "vol_a3_per_atom": 9.9}

No. 2
{"formula": "Li2V2FeO6", "functional": "PBE+U", "state": "optimized geometry", "cell": [[-3.191, 4.057, 4.030], [-1.893, -4.449, 4.604], [4.516, 1.372, 6.985]], "species": ["O", "O", "O", "O", "O", "O", "O", "O", "O", "O", "O", "O", "O", "O", "O", "O", "O", "O", "Fe", "Fe", "Fe", "Li", "Li", "Li", "Li", "Li", "Li", "V", "V", "V", "V", "V", "V"], "frac_coords": [[0.681, 0.349, 0.750], [0.019, 0.002, 0.760], [0.319, 0.651, 0.250], [0.973, 0.311, 0.927], [0.017, 0.347, 0.410], [0.643, 0.984, 0.581], [0.027, 0.689, 0.073], [0.663, 0.681, 0.428], [0.337, 0.319, 0.572], [0.356, 0.692, 0.749], [0.644, 0.308, 0.251], [0.341, 0.340, 0.097], [0.659, 0.660, 0.903], [0.981, 0.998, 0.240], [0.357, 0.016, 0.419], [0.321, 0.983, 0.915], [0.679, 0.017, 0.085], [0.983, 0.653, 0.590], [0.000, 0.000, 0.000], [0.993, 0.673, 0.333], [0.007, 0.327, 0.667], [0.674, 0.329, 0.500], [0.326, 0.671, 0.500], [0.004, 0.658, 0.839], [0.330, 0.993, 0.169], [0.996, 0.342, 0.161], [0.670, 0.007, 0.831], [0.340, 0.662, 0.003], [0.685, 0.662, 0.658], [0.660, 0.338, 0.997], [0.679, 0.992, 0.326], [0.321, 0.008, 0.674], [0.315, 0.338, 0.342]], "total_magnetization_mub_per_atom": 0.606, "sg": "P-1", "polymorph_energy_ev_per_atom": 0.003, "vol_a3_per_atom": 9.9}

No. 3
{"formula": "Li4VFe3O8", "functional": "PBE+U", "state": "optimized geometry", "cell": [[2.928, -2.978, 4.276], [3.048, -2.987, -4.206], [5.992, 6.003, 0.075]], "species": ["V", "V", "O", "O", "O", "O", "O", "O", "O", "O", "O", "O", "O", "O", "O", "O", "O", "O", "Fe", "Fe", "Fe", "Fe", "Fe", "Fe", "Li", "Li", "Li", "Li", "Li", "Li", "Li", "Li"], "frac_coords": [[0.000, 0.000, 0.000], [0.500, 0.500, 0.500], [0.002, 0.485, 0.739], [0.253, 0.733, 0.492], [0.498, 0.019, 0.753], [0.223, 0.233, 0.993], [0.500, 0.515, 0.250], [0.767, 0.239, 0.991], [0.777, 0.767, 0.007], [0.001, 0.989, 0.239], [0.502, 0.981, 0.247], [0.747, 0.267, 0.508], [0.998, 0.515, 0.261], [0.500, 0.485, 0.750], [0.749, 0.734, 0.493], [0.233, 0.761, 0.009], [0.251, 0.266, 0.507], [0.999, 0.011, 0.761], [0.251, 0.250, 0.750], [0.000, 0.500, 0.500], [0.500, 0.000, 0.000], [0.749, 0.750, 0.250], [0.748, 0.251, 0.752], [0.252, 0.749, 0.248], [0.247, 0.252, 0.250], [0.000, 0.000, 0.500], [0.500, 0.500, 0.000], [0.753, 0.748, 0.750], [0.744, 0.249, 0.249], [0.000, 0.500, 0.000], [0.256, 0.751, 0.751], [0.500, 0.000, 0.500]], "total_magnetization_mub_per_atom": 1.000, "sg": "P-1", "polymorph_energy_ev_per_atom": 0.001, "vol_a3_per_atom": 9.5}

No. 4
{"formula": "Li2VFeO4", "functional": "PBE+U", "state": "optimized geometry", "cell": [[-2.978, 2.980, 4.258], [2.978, -2.980, 4.258], [2.978, 2.980, -4.258]], "species": ["Fe", "Fe", "O", "O", "O", "O", "O", "O", "O", "O", "Li", "Li", "Li", "Li", "V", "V"], "frac_coords": [[0.000, 0.000, 0.000], [0.500, 0.000, 0.500], [0.739, 0.228, 0.989], [0.739, 0.750, 0.511], [0.253, 0.241, 0.012], [0.261, 0.250, 0.489], [0.261, 0.772, 0.011], [0.747, 0.759, 0.988], [0.271, 0.759, 0.512], [0.729, 0.241, 0.488], [0.000, 0.500, 0.500], [0.000, 0.000, 0.500], [0.000, 0.500, 0.000], [0.500, 0.500, 0.000], [0.500, 0.500, 0.500], [0.500, 0.000, 0.000]], "total_magnetization_mub_per_atom": 0.875, "sg": "Imma", "polymorph_energy_ev_per_atom": 0.003, "vol_a3_per_atom": 9.4}

No. 5
{"formula": "Li4V3Fe5O16", "functional": "PBE+U", "state": "optimized geometry", "cell": [[-3.634, -4.368, 1.673], [0.214, -2.028, 5.561], [-6.645, 6.339, 2.762]], "species": ["O", "O", "O", "O", "O", "O", "O", "O", "O", "O", "O", "O", "O", "O", "O", "O", "V", "V", "V", "Li", "Li", "Li", "Li", "Fe", "Fe", "Fe", "Fe", "Fe"], "frac_coords": [[0.672, 0.148, 0.103], [0.148, 0.672, 0.103], [0.038, 0.491, 0.836], [0.338, 0.338, 0.603], [0.522, 0.522, 0.340], [0.491, 0.038, 0.836], [0.679, 0.679, 0.103], [0.833, 0.833, 0.604], [0.533, 0.964, 0.336], [0.828, 0.320, 0.601], [0.964, 0.533, 0.336], [0.479, 0.479, 0.838], [0.991, 0.991, 0.310], [0.161, 0.161, 0.098], [0.320, 0.828, 0.601], [0.996, 0.996, 0.811], [0.165, 0.661, 0.715], [0.661, 0.165, 0.715], [0.829, 0.829, 0.214], [0.666, 0.666, 0.892], [0.000, 0.000, 0.997], [0.996, 0.996, 0.496], [0.338, 0.338, 0.395], [0.331, 0.331, 0.991], [0.338, 0.832, 0.215], [0.168, 0.168, 0.712], [0.664, 0.664, 0.491], [0.832, 0.338, 0.215]], "total_magnetization_mub_per_atom": 0.964, "sg": "Cm", "vol_a3_per_atom": 10.4}

No. 6
{"formula": "Li3VFe3O8", "functional": "PBE+U", "state": "optimized geometry", "cell": [[-7.886, -3.177, 6.050], [-8.653, -5.787, 0.726], [-10.639, -8.511, 5.704]], "species": ["O", "O", "O", "O", "O", "O", "O", "O", "Li", "Li", "Li", "Fe", "Fe", "Fe", "V"], "frac_coords": [[0.000, 0.477, 0.754], [0.000, 0.523, 0.246], [0.477, 0.000, 0.754], [0.000, 0.000, 0.742], [0.477, 0.477, 0.291], [0.523, 0.523, 0.709], [0.523, 0.000, 0.246], [0.000, 0.000, 0.258], [0.500, 0.500, 0.500], [0.500, 0.000, 0.500], [0.000, 0.500, 0.500], [0.500, 0.000, 0.000], [0.500, 0.500, 0.000], [0.000, 0.500, 0.000], [0.000, 0.000, 0.000]], "total_magnetization_mub_per_atom": 1.067, "sg": "R-3m", "polymorph_energy_ev_per_atom": 0.000, "vol_a3_per_atom": 10.2}

No. 7
{"formula": "Li4V5Fe4O18", "functional": "PBE+U", "state": "optimized geometry", "cell": [[-0.984, -2.455, 1.337], [5.516, -5.017, -5.151], [18.590, 2.214, 17.749]], "species": ["Li", "Li", "Li", "Li", "Li", "Li", "Li", "Li", "O", "O", "O", "O", "O", "O", "O", "O", "O", "O", "O", "O", "O", "O", "O", "O", "O", "O", "O", "O", "O", "O", "O", "O", "O", "O", "O", "O", "O", "O", "O", "O", "O", "O", "O", "O", "Fe", "Fe", "Fe", "Fe", "Fe", "Fe", "Fe", "Fe", "V", "V", "V", "V", "V", "V", "V", "V", "V", "V"], "frac_coords": [[0.000, 0.695, 0.519], [0.000, 0.805, 0.019], [0.000, 0.201, 0.178], [0.000, 0.305, 0.481], [0.000, 0.799, 0.822], [0.000, 0.299, 0.678], [0.000, 0.701, 0.322], [0.000, 0.195, 0.981], [0.000, 0.495, 0.074], [0.000, 0.301, 0.588], [0.000, 0.199, 0.088], [0.500, 0.350, 0.004], [0.500, 0.378, 0.165], [0.000, 0.005, 0.574], [0.500, 0.878, 0.335], [0.000, 0.317, 0.359], [0.500, 0.544, 0.342], [0.500, 0.622, 0.835], [0.500, 0.564, 0.559], [0.500, 0.148, 0.293], [0.000, 0.801, 0.912], [0.000, 0.505, 0.926], [0.500, 0.936, 0.059], [0.000, 0.995, 0.426], [0.000, 0.594, 0.738], [0.500, 0.150, 0.504], [0.000, 0.183, 0.859], [0.500, 0.650, 0.996], [0.000, 0.906, 0.238], [0.500, 0.352, 0.793], [0.500, 0.956, 0.842], [0.000, 0.406, 0.262], [0.500, 0.852, 0.707], [0.000, 0.683, 0.641], [0.000, 0.817, 0.141], [0.500, 0.436, 0.441], [0.500, 0.850, 0.496], [0.000, 0.094, 0.762], [0.500, 0.122, 0.665], [0.000, 0.699, 0.412], [0.500, 0.064, 0.941], [0.500, 0.648, 0.207], [0.500, 0.044, 0.158], [0.500, 0.456, 0.658], [0.000, 0.496, 0.805], [0.000, 0.004, 0.305], [0.500, 0.150, 0.586], [0.500, 0.850, 0.414], [0.000, 0.996, 0.695], [0.500, 0.350, 0.086], [0.000, 0.504, 0.195], [0.500, 0.650, 0.914], [0.000, 0.000, 0.500], [0.000, 0.500, 0.000], [0.000, 0.995, 0.102], [0.000, 0.495, 0.398], [0.000, 0.005, 0.898], [0.500, 0.852, 0.192], [0.500, 0.352, 0.308], [0.500, 0.148, 0.808], [0.500, 0.648, 0.692], [0.000, 0.505, 0.602]], "total_magnetization_mub_per_atom": 0.806, "sg": "Pbam", "vol_a3_per_atom": 11.2}

No. 8
{"formula": "Li2VFe3O8", "functional": "PBE+U", "state": "optimized geometry", "cell": [[5.173, -3.004, 0.000], [5.173, 3.004, 0.000], [3.428, 0.000, 4.902]], "species": ["Li", "Li", "O", "O", "O", "O", "O", "O", "O", "O", "Fe", "Fe", "Fe", "V"], "frac_coords": [[0.870, 0.870, 0.870], [0.130, 0.130, 0.130], [0.272, 0.715, 0.272], [0.285, 0.728, 0.728], [0.728, 0.728, 0.285], [0.736, 0.736, 0.736], [0.728, 0.285, 0.728], [0.715, 0.272, 0.272], [0.264, 0.264, 0.264], [0.272, 0.272, 0.715], [0.000, 0.500, 0.500], [0.500, 0.000, 0.500], [0.500, 0.500, 0.000], [0.500, 0.500, 0.500]], "total_magnetization_mub_per_atom": 1.071, "sg": "R-3m", "polymorph_energy_ev_per_atom": 0.004, "vol_a3_per_atom": 10.9}

No. 9
{"formula": "Li3V3FeO8", "functional": "PBE+U", "state": "optimized geometry", "cell": [[-3.500, 0.528, -4.837], [1.955, -1.755, -5.388], [-2.311, -4.899, -2.583]], "species": ["Li", "Li", "Li", "O", "O", "O", "O", "O", "O", "O", "O", "V", "V", "V", "Fe"], "frac_coords": [[0.000, 0.000, 0.500], [0.000, 0.500, 0.500], [0.500, 0.000, 0.500], [0.235, 0.235, 0.787], [0.739, 0.739, 0.769], [0.755, 0.263, 0.219], [0.263, 0.755, 0.219], [0.737, 0.245, 0.781], [0.261, 0.261, 0.231], [0.765, 0.765, 0.213], [0.245, 0.737, 0.781], [0.500, 0.000, 0.000], [0.000, 0.500, 0.000], [0.500, 0.500, 0.000], [0.000, 0.000, 0.000]], "total_magnetization_mub_per_atom": 0.667, "sg": "C2/m", "vol_a3_per_atom": 10.1}

No. 10
{"formula": "Li3VFe3O8", "functional": "PBE+U", "state": "optimized geometry", "cell": [[-0.587, -3.821, -4.554], [0.113, -5.897, 0.943], [-5.036, -3.198, -0.567]], "species": ["O", "O", "O", "O", "O", "O", "O", "O", "Fe", "Fe", "Fe", "V", "Li", "Li", "Li"], "frac_coords": [[0.255, 0.761, 0.220], [0.745, 0.239, 0.780], [0.239, 0.239, 0.771], [0.239, 0.745, 0.780], [0.761, 0.255, 0.220], [0.734, 0.734, 0.785], [0.266, 0.266, 0.215], [0.761, 0.761, 0.229], [0.500, 0.500, 0.000], [0.000, 0.500, 0.000], [0.500, 0.000, 0.000], [0.000, 0.000, 0.000], [0.000, 0.500, 0.500], [0.500, 0.000, 0.500], [0.500, 0.500, 0.500]], "sg": "C2/m", "polymorph_energy_ev_per_atom": 0.023, "vol_a3_per_atom": 10.1}

No. 11
{"formula": "Li4VFe3O8", "functional": "PBE+U", "state": "optimized geometry", "cell": [[-1.668, 1.819, -5.433], [5.487, 1.232, 1.992], [-4.574, -7.066, -0.965]], "species": ["Fe", "Fe", "Fe", "O", "O", "O", "O", "O", "O", "O", "O", "Li", "Li", "Li", "Li", "V"], "frac_coords": [[0.500, 0.001, 0.001], [0.500, 0.500, 0.000], [0.001, 0.502, 0.002], [0.485, 0.474, 0.231], [0.517, 0.033, 0.775], [0.484, 0.969, 0.227], [0.514, 0.528, 0.770], [0.013, 0.026, 0.770], [0.987, 0.976, 0.231], [0.987, 0.473, 0.231], [0.013, 0.529, 0.771], [0.992, 0.496, 0.499], [0.496, 0.506, 0.502], [0.000, 0.001, 0.501], [0.499, 0.001, 0.501], [0.000, 0.001, 0.001]], "total_magnetization_mub_per_atom": 1.063, "sg": "P1", "polymorph_energy_ev_per_atom": 0.000, "vol_a3_per_atom": 9.5}

No. 12
{"formula": "Li4VFe3O8", "functional": "PBE+U", "state": "optimized geometry", "cell": [[5.978, 0.000, 0.000], [0.000, 5.992, 0.000], [0.000, 0.003, 8.483]], "species": ["Li", "Li", "Li", "Li", "Li", "Li", "Li", "Li", "Fe", "Fe", "Fe", "Fe", "Fe", "Fe", "O", "O", "O", "O", "O", "O", "O", "O", "O", "O", "O", "O", "O", "O", "O", "O", "V", "V"], "frac_coords": [[0.000, 0.000, 0.500], [0.500, 0.000, 0.500], [0.247, 0.252, 0.250], [0.000, 0.500, 0.000], [0.500, 0.500, 0.000], [0.753, 0.748, 0.750], [0.753, 0.252, 0.250], [0.247, 0.748, 0.750], [0.749, 0.250, 0.750], [0.251, 0.750, 0.250], [0.749, 0.750, 0.250], [0.251, 0.250, 0.750], [0.000, 0.500, 0.500], [0.500, 0.000, 0.000], [0.233, 0.239, 0.991], [0.251, 0.734, 0.493], [0.500, 0.485, 0.750], [0.000, 0.515, 0.261], [0.251, 0.266, 0.507], [0.500, 0.981, 0.247], [0.500, 0.515, 0.250], [0.500, 0.019, 0.753], [0.233, 0.761, 0.009], [0.749, 0.266, 0.507], [0.000, 0.989, 0.239], [0.000, 0.011, 0.761], [0.767, 0.239, 0.991], [0.749, 0.734, 0.493], [0.000, 0.485, 0.739], [0.767, 0.761, 0.009], [0.000, 0.000, 0.000], [0.500, 0.500, 0.500]], "total_magnetization_mub_per_atom": 0.063, "sg": "P2/m", "polymorph_energy_ev_per_atom": 0.280, "vol_a3_per_atom": 9.5}

Number 1: energy -6.966 eV per atom, energy relative to the elements -2265.4 meV per atom. Number 2: energy -6.792 eV per atom, energy relative to the elements -2213.6 meV per atom. Number 3: energy -6.303 eV per atom, energy relative to the elements -2068.6 meV per atom. Number 4: energy -6.505 eV per atom, energy relative to the elements -2198.0 meV per atom. Number 5: energy -6.677 eV per atom, energy relative to the elements -2068.4 meV per atom. Number 6: energy -6.415 eV per atom, energy relative to the elements -2025.9 meV per atom. Number 7: energy -6.868 eV per atom, energy relative to the elements -2154.6 meV per atom. Number 8: energy -6.552 eV per atom, energy relative to the elements -1985.1 meV per atom. Number 9: energy -6.840 eV per atom, energy relative to the elements -2294.5 meV per atom. Number 10: energy -6.392 eV per atom, energy relative to the elements -2002.8 meV per atom. Number 11: energy -6.304 eV per atom, energy relative to the elements -2070.0 meV per atom. Number 12: energy -6.025 eV per atom, energy relative to the elements -1790.2 meV per atom.